Computed, not measured: a relaxed LiFeF4 crystal at the GGA+U level of DFT.

Properties
Its space-group type is P3_1, No. 144. The formation energy is -2.745 eV per atom. The calculation puts the total energy at -5.07 eV/atom. The maximum piezoelectric response is 0.6 C/m2.

abc: 7.7690 7.7690 7.9175
angles: 90.00 90.00 120.00
Atoms (fractional coordinates):
F 0.4331 0.7257 0.8246
F 0.1005 0.7324 0.6317
F 0.0548 0.3476 0.7386
F 0.8320 0.4259 0.5173
F 0.2743 0.7074 0.1579
Fe 0.7585 0.1659 0.3977
F 0.4476 0.3823 0.2718
F 0.5741 0.4061 0.8506
F 0.9203 0.6888 0.2828
Li 0.8462 0.0452 0.7220
F 0.6320 0.8995 0.2983
Fe 0.3378 0.4674 0.7147
Li 0.9963 0.3472 0.9996
F 0.9406 0.0861 0.4831
F 0.3774 0.0165 0.9255
F 0.6391 0.6226 0.5921
Li 0.6528 0.6491 0.3329
F 0.2926 0.5669 0.4913
F 0.9347 0.5524 0.9385
F 0.9835 0.3609 0.2588
Li 0.1991 0.1538 0.3887
Fe 0.5326 0.8705 0.0481
Li 0.9548 0.8009 0.0554
Li 0.3509 0.0037 0.6663
F 0.6524 0.7072 0.0719
Fe 0.1295 0.6622 0.3814
F 0.2928 0.9452 0.4052
F 0.5939 0.1680 0.1839
Fe 0.4074 0.2415 0.0644
F 0.1455 0.0594 0.1497
F 0.6177 0.0653 0.6051
F 0.3112 0.2315 0.6161
F 0.2676 0.3680 0.9650
Fe 0.8341 0.5926 0.7310
F 0.9139 0.8545 0.8164
F 0.7685 0.0797 0.9494